A plane-wave DFT calculation with meta-GGA r2SCAN was carried out for a relaxed structure of Ti2CS.

Lattice parameters (Å, degrees): 3.2054 3.2054 11.2256 90.00 90.00 120.00
Positions (direct):
C1 0.0000 0.0000 0.5000
C2 0.0000 0.0000 0.0000
Ti1 0.3333 0.6667 0.0992
Ti2 0.3333 0.6667 0.4008
Ti3 0.6667 0.3333 0.5992
Ti4 0.6667 0.3333 0.9008
S1 0.6667 0.3333 0.2500
S2 0.3333 0.6667 0.7500

Calculated values
space-group type = P6_3/mmc, No. 194
calculated volume = 12.49 A^3/atom
spin magnetization = 0.0 μB per cell
ΔE_f = -5.61 eV per formula unit

A plane-wave DFT calculation with meta-GGA r2SCAN was carried out for a relaxed structure of U2CS.

Lattice parameters (Å, degrees): 6.8074 6.8074 6.8074 31.06 31.06 31.06
Positions (direct):
U1 0.2623 0.2623 0.2623
U2 0.7377 0.7377 0.7377
C1 0.0000 0.0000 0.0000
S1 0.5000 0.5000 0.5000

Calculated values
space-group type = R-3m, No. 166
calculated volume = 18.62 A^3/atom
spin magnetization = 4.2 μB per cell
ΔE_f = -4.11 eV per formula unit

A plane-wave DFT calculation with meta-GGA r2SCAN was carried out for a relaxed structure of Sc3TlC.

Lattice parameters (Å, degrees): 4.5442 4.5442 4.5442 90.00 90.00 90.00
Positions (direct):
Sc1 0.5000 0.0000 0.5000
Sc2 0.0000 0.5000 0.5000
Sc3 0.5000 0.5000 0.0000
C1 0.5000 0.5000 0.5000
Tl1 0.0000 0.0000 0.0000

Calculated values
space-group type = Pm-3m, No. 221
calculated volume = 18.77 A^3/atom
spin magnetization = 0.0 μB per cell
ΔE_f = -3.72 eV per formula unit

A plane-wave DFT calculation with meta-GGA r2SCAN was carried out for a relaxed structure of Ti5Si3C.

Lattice parameters (Å, degrees): 5.1563 7.4537 7.4537 120.00 90.00 90.00
Positions (direct):
Ti1 0.5000 0.3333 0.6667
Ti2 0.5000 0.6667 0.3333
Ti3 0.2500 0.7677 0.0000
Ti4 0.7500 0.2323 0.0000
Ti5 0.0000 0.3333 0.6667
Ti6 0.7500 0.0000 0.2323
Ti7 0.7500 0.7677 0.7677
Ti8 0.0000 0.6667 0.3333
Ti9 0.2500 0.0000 0.7677
Ti10 0.2500 0.2323 0.2323
C1 0.5000 0.0000 0.0000
C2 0.0000 0.0000 0.0000
Si1 0.2500 0.5935 0.5935
Si2 0.2500 0.4065 0.0000
Si3 0.7500 0.4065 0.4065
Si4 0.7500 0.0000 0.5935
Si5 0.2500 0.0000 0.4065
Si6 0.7500 0.5935 0.0000

Calculated values
space-group type = P6_3/mcm, No. 193
calculated volume = 13.78 A^3/atom
spin magnetization = 0.0 μB per cell
ΔE_f = -7.71 eV per formula unit

A plane-wave DFT calculation with meta-GGA r2SCAN was carried out for a relaxed structure of Y20Si12C.

Lattice parameters (Å, degrees): 14.6362 6.4287 8.4524 89.96 90.00 90.00
Positions (direct):
Y1 0.3787 0.2475 0.1213
Y2 0.6213 0.7525 0.8787
Y3 0.0000 0.2741 0.2651
Y4 0.8825 0.7275 0.3819
Y5 0.3787 0.7525 0.8787
Y6 0.8825 0.2725 0.6181
Y7 0.3369 0.5000 0.5000
Y8 0.6711 0.0000 0.5000
Y9 0.6631 0.5000 0.5000
Y10 0.8378 0.0000 0.0000
Y11 0.1175 0.2725 0.6181
Y12 0.8289 0.5000 0.0000
Y13 0.1622 0.0000 0.0000
Y14 0.1175 0.7275 0.3819
Y15 0.5000 0.7535 0.2436
Y16 0.3289 0.0000 0.5000
Y17 0.6213 0.2475 0.1213
Y18 0.5000 0.2465 0.7564
Y19 0.0000 0.7259 0.7349
Y20 0.1711 0.5000 0.0000
Si1 0.3031 0.7536 0.1970
Si2 0.8004 0.7437 0.6992
Si3 0.0000 0.7367 0.1007
Si4 0.0000 0.2633 0.8993
Si5 0.8004 0.2563 0.3008
Si6 0.6969 0.2464 0.8030
Si7 0.5000 0.2420 0.3950
Si8 0.5000 0.7580 0.6050
Si9 0.3031 0.2464 0.8030
Si10 0.1996 0.2563 0.3008
Si11 0.6969 0.7536 0.1970
Si12 0.1996 0.7437 0.6992
C1 0.0000 0.5000 0.5000

Calculated values
space-group type = P2/m, No. 10
calculated volume = 24.10 A^3/atom
spin magnetization = 0.0 μB per cell
ΔE_f = -26.00 eV per formula unit

A plane-wave DFT calculation with meta-GGA r2SCAN was carried out for a relaxed structure of Sm2C3.

Lattice parameters (Å, degrees): 7.3290 7.3290 7.3290 109.47 109.47 109.47
Positions (direct):
C1 0.2500 0.5466 0.2966
C2 0.2966 0.2500 0.5466
C3 0.2500 0.7034 0.4534
C4 0.9534 0.2034 0.7500
C5 0.4534 0.2500 0.7034
C6 0.2034 0.7500 0.9534
C7 0.5466 0.2966 0.2500
C8 0.0466 0.7500 0.7966
C9 0.7966 0.0466 0.7500
C10 0.7034 0.4534 0.2500
C11 0.7500 0.9534 0.2034
C12 0.7500 0.7966 0.0466
Sm1 0.0000 0.3980 0.5000
Sm2 0.5000 0.0000 0.3980
Sm3 0.3980 0.5000 0.0000
Sm4 0.0000 0.8980 0.5000
Sm5 0.6020 0.6020 0.6020
Sm6 0.8980 0.5000 0.0000
Sm7 0.1020 0.1020 0.1020
Sm8 0.5000 0.0000 0.8980

Calculated values
space-group type = I-43d, No. 220
calculated volume = 15.15 A^3/atom
spin magnetization = 0.0 μB per cell
ΔE_f = -1.79 eV per formula unit

A plane-wave DFT calculation with meta-GGA r2SCAN was carried out for a relaxed structure of Sm3TlC.

Lattice parameters (Å, degrees): 5.0421 5.0421 5.0421 90.00 90.00 90.00
Positions (direct):
Sm1 0.5000 0.5000 0.0000
Sm2 0.5000 0.0000 0.5000
Sm3 0.0000 0.5000 0.5000
C1 0.5000 0.5000 0.5000
Tl1 0.0000 0.0000 0.0000

Calculated values
space-group type = Pm-3m, No. 221
calculated volume = 25.64 A^3/atom
spin magnetization = 0.0 μB per cell
ΔE_f = -2.47 eV per formula unit

A plane-wave DFT calculation with meta-GGA r2SCAN was carried out for a relaxed structure of Ti3SnC2.

Lattice parameters (Å, degrees): 3.1397 3.1398 18.6831 90.00 90.00 120.00
Positions (direct):
Ti1 0.3333 0.6667 0.1248
Ti2 0.0000 0.0000 0.5000
Ti3 0.3333 0.6667 0.3752
Ti4 0.6667 0.3333 0.8752
Ti5 0.0000 0.0000 0.0001
Ti6 0.6667 0.3333 0.6248
C1 0.6667 0.3333 0.0685
C2 0.3333 0.6667 0.9316
C3 0.6667 0.3333 0.4315
C4 0.3333 0.6667 0.5685
Sn1 0.0000 0.0000 0.7500
Sn2 0.0000 0.0000 0.2499

Calculated values
space-group type = P6_3/mmc, No. 194
calculated volume = 13.29 A^3/atom
spin magnetization = 0.0 μB per cell
ΔE_f = -5.27 eV per formula unit

A plane-wave DFT calculation with meta-GGA r2SCAN was carried out for a relaxed structure of Yb3SnC.

Lattice parameters (Å, degrees): 5.4536 5.4536 5.4536 90.00 90.00 90.00
Positions (direct):
Yb1 0.0000 0.5000 0.5000
Yb2 0.5000 0.0000 0.5000
Yb3 0.5000 0.5000 0.0000
Sn1 0.5000 0.5000 0.5000
C1 0.0000 0.0000 0.0000

Calculated values
space-group type = Pm-3m, No. 221
calculated volume = 32.44 A^3/atom
spin magnetization = 0.0 μB per cell
ΔE_f = 7.51 eV per formula unit

A plane-wave DFT calculation with meta-GGA r2SCAN was carried out for a relaxed structure of Zr5Sn3C.

Lattice parameters (Å, degrees): 8.4789 8.4789 5.8499 90.00 90.00 120.00
Positions (direct):
Zr1 0.3333 0.6667 0.5000
Zr2 0.7805 0.0000 0.2500
Zr3 0.2195 0.0000 0.7500
Zr4 0.7805 0.7805 0.7500
Zr5 0.6667 0.3333 0.0000
Zr6 0.0000 0.2195 0.7500
Zr7 0.3333 0.6667 0.0000
Zr8 0.6667 0.3333 0.5000
Zr9 0.2195 0.2195 0.2500
Zr10 0.0000 0.7805 0.2500
C1 0.0000 0.0000 0.5000
C2 0.0000 0.0000 0.0000
Sn1 0.4040 0.4040 0.7500
Sn2 0.0000 0.4040 0.2500
Sn3 0.5960 0.5960 0.2500
Sn4 0.4040 0.0000 0.2500
Sn5 0.0000 0.5960 0.7500
Sn6 0.5960 0.0000 0.7500

Calculated values
space-group type = P6_3/mcm, No. 193
calculated volume = 20.23 A^3/atom
spin magnetization = 0.0 μB per cell
ΔE_f = -6.95 eV per formula unit

A plane-wave DFT calculation with meta-GGA r2SCAN was carried out for a relaxed structure of Zr2SnC.

Lattice parameters (Å, degrees): 3.3771 3.3771 14.6550 90.00 90.00 120.00
Positions (direct):
Zr1 0.3333 0.6667 0.0849
Zr2 0.6667 0.3333 0.5849
Zr3 0.3333 0.6667 0.4151
Zr4 0.6667 0.3333 0.9151
C1 0.0000 0.0000 0.5000
C2 0.0000 0.0000 0.0000
Sn1 0.6667 0.3333 0.2500
Sn2 0.3333 0.6667 0.7500

Calculated values
space-group type = P6_3/mmc, No. 194
calculated volume = 18.09 A^3/atom
spin magnetization = 0.0 μB per cell
ΔE_f = -3.57 eV per formula unit

A plane-wave DFT calculation with meta-GGA r2SCAN was carried out for a relaxed structure of Ta4C3.

Lattice parameters (Å, degrees): 10.3850 10.3850 10.3850 17.29 17.29 17.29
Positions (direct):
C1 0.9152 0.9152 0.9152
C2 0.4976 0.4976 0.4976
C3 0.0043 0.0043 0.0043
Ta1 0.6266 0.6266 0.6266
Ta2 0.3755 0.3755 0.3755
Ta3 0.2056 0.2056 0.2056
Ta4 0.7902 0.7902 0.7902

Calculated values
space-group type = R3m, No. 160
calculated volume = 12.33 A^3/atom
spin magnetization = 0.0 μB per cell
ΔE_f = -4.44 eV per formula unit

A plane-wave DFT calculation with meta-GGA r2SCAN was carried out for a relaxed structure of Ta3C2.

Lattice parameters (Å, degrees): 3.1289 3.1289 30.1939 90.00 90.00 120.00
Positions (direct):
Ta1 0.6667 0.3333 0.2053
Ta2 0.6667 0.3333 0.4590
Ta3 0.3333 0.6667 0.7946
Ta4 0.6667 0.3333 0.6235
Ta5 0.0000 0.0000 0.1234
Ta6 0.3333 0.6667 0.3765
Ta7 0.3333 0.6667 0.5410
Ta8 0.0000 0.0000 0.8766
Ta9 0.6667 0.3333 0.0416
Ta10 0.3333 0.6667 0.9584
Ta11 0.0000 0.0000 0.2881
Ta12 0.0000 0.0000 0.7118
C1 0.6667 0.3333 0.9166
C2 0.3333 0.6667 0.0834
C3 0.3333 0.6667 0.2455
C4 0.6667 0.3333 0.7545
C5 0.0000 0.0000 0.4191
C6 0.6667 0.3333 0.3322
C7 0.3333 0.6667 0.6678
C8 0.0000 0.0000 0.5809

Calculated values
space-group type = P-3m1, No. 164
calculated volume = 12.80 A^3/atom
spin magnetization = 0.0 μB per cell
ΔE_f = -3.33 eV per formula unit

A plane-wave DFT calculation with meta-GGA r2SCAN was carried out for a relaxed structure of ZrTaC2.

Lattice parameters (Å, degrees): 5.6251 5.6251 5.6251 33.40 33.40 33.40
Positions (direct):
Zr1 0.0000 0.0000 0.0000
C1 0.7547 0.7547 0.7547
C2 0.2453 0.2453 0.2453
Ta1 0.5000 0.5000 0.5000

Calculated values
space-group type = R-3m, No. 166
calculated volume = 12.01 A^3/atom
spin magnetization = 0.0 μB per cell
ΔE_f = -3.57 eV per formula unit

A plane-wave DFT calculation with meta-GGA r2SCAN was carried out for a relaxed structure of TbC2.

Lattice parameters (Å, degrees): 3.6822 3.6822 4.0572 116.99 116.99 90.00
Positions (direct):
Tb1 0.0000 0.0000 0.0000
C1 0.6040 0.6040 0.2081
C2 0.3960 0.3960 0.7919

Calculated values
space-group type = I4/mmm, No. 139
calculated volume = 14.06 A^3/atom
spin magnetization = 0.0 μB per cell
ΔE_f = -1.11 eV per formula unit

A plane-wave DFT calculation with meta-GGA r2SCAN was carried out for a relaxed structure of TbWC2.

Lattice parameters (Å, degrees): 3.3942 5.7339 10.7895 90.00 90.00 90.00
Positions (direct):
Tb1 0.7500 0.9142 0.1374
Tb2 0.2500 0.0858 0.8626
Tb3 0.7500 0.4142 0.3626
Tb4 0.2500 0.5858 0.6374
C1 0.2500 0.7193 0.9818
C2 0.2500 0.6598 0.2528
C3 0.7500 0.8402 0.7528
C4 0.2500 0.1598 0.2472
C5 0.7500 0.3402 0.7472
C6 0.7500 0.2807 0.0182
C7 0.7500 0.7807 0.4818
C8 0.2500 0.2193 0.5182
W1 0.7500 0.5960 0.8890
W2 0.7500 0.0960 0.6110
W3 0.2500 0.9040 0.3890
W4 0.2500 0.4040 0.1110

Calculated values
space-group type = Pnma, No. 62
calculated volume = 13.12 A^3/atom
spin magnetization = 0.0 μB per cell
ΔE_f = -1.54 eV per formula unit

A plane-wave DFT calculation with meta-GGA r2SCAN was carried out for a relaxed structure of ThC2.

Lattice parameters (Å, degrees): 3.9841 3.9841 6.7280 78.43 78.43 64.79
Positions (direct):
Th1 0.2111 0.7889 0.7500
Th2 0.7889 0.2111 0.2500
C1 0.5671 0.8316 0.0531
C2 0.1684 0.4329 0.4469
C3 0.8316 0.5671 0.5531
C4 0.4329 0.1684 0.9469

Calculated values
space-group type = C2/c, No. 15
calculated volume = 15.64 A^3/atom
spin magnetization = 0.0 μB per cell
ΔE_f = -1.18 eV per formula unit

A plane-wave DFT calculation with meta-GGA r2SCAN was carried out for a relaxed structure of Th4C3.

Lattice parameters (Å, degrees): 3.7614 3.7614 12.7710 81.58 98.42 119.99
Positions (direct):
Th1 0.7557 0.2443 0.2651
Th2 0.2483 0.7517 0.7454
Th3 0.5018 0.4982 0.5049
Th4 0.9943 0.0057 0.9847
C1 0.8750 0.1250 0.6249
C2 0.1226 0.8774 0.3663
C3 0.6274 0.3726 0.8838

Calculated values
space-group type = C2/m, No. 12
calculated volume = 22.03 A^3/atom
spin magnetization = 0.6 μB per cell
ΔE_f = -2.71 eV per formula unit

A plane-wave DFT calculation with meta-GGA r2SCAN was carried out for a relaxed structure of Ti8C5.

Lattice parameters (Å, degrees): 6.0817 6.0817 6.0817 60.51 60.51 60.51
Positions (direct):
Ti1 0.2446 0.2446 0.2446
Ti2 0.7554 0.7554 0.7554
Ti3 0.2497 0.7632 0.2497
Ti4 0.7503 0.2368 0.7503
Ti5 0.2497 0.2497 0.7632
Ti6 0.2368 0.7503 0.7503
Ti7 0.7503 0.7503 0.2368
Ti8 0.7632 0.2497 0.2497
C1 0.0000 0.5000 0.0000
C2 0.0000 0.0000 0.5000
C3 0.5000 0.0000 0.0000
C4 0.0000 0.0000 0.0000
C5 0.5000 0.5000 0.5000

Calculated values
space-group type = R-3m, No. 166
calculated volume = 12.38 A^3/atom
spin magnetization = 0.0 μB per cell
ΔE_f = -10.77 eV per formula unit

A plane-wave DFT calculation with meta-GGA r2SCAN was carried out for a relaxed structure of Ti3C2.

Lattice parameters (Å, degrees): 3.0666 3.0666 15.1172 90.00 90.00 120.00
Positions (direct):
Ti1 0.3333 0.6667 0.8439
Ti2 0.6667 0.3333 0.1561
Ti3 0.6667 0.3333 0.3439
Ti4 0.0000 0.0000 0.5000
Ti5 0.0000 0.0000 0.0000
Ti6 0.3333 0.6667 0.6561
C1 0.6667 0.3333 0.5859
C2 0.6667 0.3333 0.9141
C3 0.3333 0.6667 0.4141
C4 0.3333 0.6667 0.0859

Calculated values
space-group type = P6_3/mmc, No. 194
calculated volume = 12.31 A^3/atom
spin magnetization = 0.0 μB per cell
ΔE_f = -3.98 eV per formula unit

A plane-wave DFT calculation with meta-GGA r2SCAN was carried out for a relaxed structure of Ti3TlC.

Lattice parameters (Å, degrees): 4.2442 4.2442 4.2442 90.00 90.00 90.00
Positions (direct):
Ti1 0.5000 0.0000 0.5000
Ti2 0.0000 0.5000 0.5000
Ti3 0.5000 0.5000 0.0000
Tl1 0.0000 0.0000 0.0000
C1 0.5000 0.5000 0.5000

Calculated values
space-group type = Pm-3m, No. 221
calculated volume = 15.29 A^3/atom
spin magnetization = 0.0 μB per cell
ΔE_f = -2.58 eV per formula unit

A plane-wave DFT calculation with meta-GGA r2SCAN was carried out for a relaxed structure of Ti2TlC.

Lattice parameters (Å, degrees): 3.1645 3.1645 14.1071 90.00 90.00 120.00
Positions (direct):
C1 0.0000 0.0000 0.5000
C2 0.0000 0.0000 0.0000
Ti1 0.6667 0.3333 0.5779
Ti2 0.3333 0.6667 0.4221
Ti3 0.3333 0.6667 0.0779
Ti4 0.6667 0.3333 0.9221
Tl1 0.3333 0.6667 0.7500
Tl2 0.6667 0.3333 0.2500

Calculated values
space-group type = P6_3/mmc, No. 194
calculated volume = 15.29 A^3/atom
spin magnetization = 0.0 μB per cell
ΔE_f = -2.67 eV per formula unit